A plane-wave DFT calculation with r2SCAN was carried out for an optimized crystal structure of KBaPS4.

Calculated values
V ... 28.8 Å³/atom
Total moment ... 0.00 μB per cell
Final energy ... -11.89 eV per atom
Calculated formation energy ... -9.55 eV per formula unit

Cell lengths 12.164, 6.756, 9.813 Å; angles 90.00, 90.00, 90.00 degrees
Space group Pnma (No. 62)
One atom of each set of equivalent atoms:
K (0.122, 0.250, 0.168) x4
Ba (0.142, 0.250, 0.620) x4
P (0.174, 0.750, 0.397) x4
S (0.080, 0.750, 0.570) x4
S (0.085, 0.750, 0.221) x4
S (0.227, 0.006, 0.896) x8